# CoSbP2O8

A geometry-optimized CoSbP2O8 structure (GGA+U, Materials Project).

Values from the calculation:
energy of formation: -2.21 eV per atom
symmetry: Pm
polymorph energy (0 for the lowest one): 0.031 eV/atom

```
48
Lattice="10.086 0.000 0.000 0.000 6.126 0.000 -0.356 0.000 10.121" Properties=species:S:1:pos:R:3 pbc="T T T"
Co 0.000 0.000 0.000
Co 0.390 3.063 4.698
Co 4.868 0.000 0.174
Co 5.603 3.063 4.518
Sb 2.194 3.063 9.520
Sb 2.852 0.000 5.089
Sb 7.261 3.063 9.733
Sb 7.923 0.000 5.295
P 0.698 0.000 3.255
P 1.882 0.000 8.300
P 3.152 3.063 6.371
P 4.777 3.063 1.365
P 5.688 0.000 3.334
P 6.963 0.000 8.452
P 8.234 3.063 6.516
P 9.777 3.063 1.441
O 0.977 0.000 1.773
O 1.174 3.063 1.119
O 1.075 1.204 8.885
O 1.075 4.923 8.885
O 1.481 1.185 4.047
O 1.481 4.941 4.047
O 1.648 3.063 6.244
O 1.695 0.000 6.715
O 3.358 0.000 8.628
O 3.670 3.063 7.800
O 3.797 1.796 5.605
O 3.797 4.330 5.605
O 4.104 1.854 0.633
O 4.104 4.273 0.633
O 4.117 0.000 3.567
O 4.548 3.063 2.850
O 5.913 0.000 1.849
O 6.350 3.063 1.135
O 6.363 1.209 4.065
O 6.363 4.917 4.065
O 6.315 1.266 9.218
O 6.315 4.860 9.218
O 6.450 0.000 7.021
O 6.759 3.063 6.183
O 8.415 3.063 8.102
O 8.466 0.000 8.581
O 8.992 1.878 0.650
O 8.992 4.248 0.650
O 9.042 1.859 5.933
O 9.042 4.267 5.933
O 9.300 0.000 3.575
O 9.501 3.063 2.924
```

=====

# LiVPO4

A geometry-optimized LiVPO4 structure (GGA+U, Materials Project).

Values from the calculation:
energy of formation: -2.64 eV per atom
symmetry: Pnma
polymorph energy (0 for the lowest one): 0.006 eV/atom

```
28
Lattice="10.531 0.000 0.000 0.000 6.113 0.000 0.000 0.000 4.767" Properties=species:S:1:pos:R:3 pbc="T T T"
Li 0.000 0.000 0.000
Li 0.000 3.057 0.000
Li 5.265 0.000 2.383
Li 5.265 3.057 2.383
V 2.371 1.528 2.304
V 2.895 4.585 4.687
V 7.636 1.528 0.079
V 8.160 4.585 2.463
P 0.958 4.585 1.971
P 4.307 1.528 4.355
P 6.223 4.585 0.412
P 9.572 1.528 2.795
O 0.484 1.528 3.372
O 1.010 4.585 3.507
O 1.690 3.348 1.322
O 1.690 5.822 1.322
O 3.576 0.291 3.706
O 3.576 2.765 3.706
O 4.255 1.528 1.124
O 4.782 4.585 0.989
O 5.749 1.528 3.778
O 6.275 4.585 3.643
O 6.955 3.348 1.061
O 6.955 5.822 1.061
O 8.841 0.291 3.444
O 8.841 2.765 3.444
O 9.521 1.528 1.259
O 10.047 4.585 1.395
```

=====

# MgMn6O8F4

A geometry-optimized MgMn6O8F4 structure (GGA+U, Materials Project).

Values from the calculation:
energy of formation: -2.24 eV per atom
symmetry: P1
polymorph energy (0 for the lowest one): 0.076 eV/atom

```
19
Lattice="4.999 0.000 0.000 0.218 5.683 0.000 0.113 0.841 7.777" Properties=species:S:1:pos:R:3 pbc="T T T"
Mg 0.000 0.000 0.000
Mn 5.226 4.201 6.469
Mn 0.269 2.347 1.462
Mn 2.478 1.304 6.285
Mn 2.806 4.743 1.407
Mn 2.773 3.153 3.794
Mn 4.961 0.477 3.972
O 0.995 2.599 7.285
O 1.794 1.627 4.482
O 2.016 5.570 7.426
O 1.880 3.257 2.145
O 3.621 4.804 3.144
O 4.251 2.144 3.099
O 4.460 6.006 5.962
O 4.436 3.794 0.505
F 0.818 0.415 1.886
F 1.215 4.376 4.709
F 3.394 0.805 0.693
F 3.595 3.145 5.637
```

=====

# Li9Mn2Co5O16

A geometry-optimized Li9Mn2Co5O16 structure (GGA+U, Materials Project).

Values from the calculation:
energy of formation: -1.84 eV per atom
symmetry: C2
polymorph energy (0 for the lowest one): 0.025 eV/atom

```
32
Lattice="9.718 -2.897 0.000 9.718 2.897 0.000 -0.799 0.000 5.102" Properties=species:S:1:pos:R:3 pbc="T T T"
Li 0.000 0.000 0.000
Li 1.770 0.008 3.842
Li 9.318 1.449 2.551
Li 7.136 0.010 1.273
Li 4.051 -1.417 5.086
Li 11.501 0.010 3.828
Li 9.318 -1.456 2.551
Li 16.866 0.008 1.259
Li 14.586 -1.417 0.016
Mn 6.724 -1.422 3.816
Mn 11.912 -1.422 1.285
Co 6.766 1.485 3.868
Co 4.451 0.029 2.535
Co 11.871 1.485 1.234
Co 9.718 0.004 0.000
Co 14.186 0.029 2.567
O 5.653 1.476 1.985
O 1.050 0.033 1.893
O 3.470 0.085 0.699
O 8.469 1.351 0.503
O 5.464 0.010 4.344
O 10.167 1.351 4.598
O 12.983 1.476 3.116
O 7.901 -0.062 3.168
O 5.802 -1.429 2.059
O 10.736 -0.062 1.934
O 8.404 -1.362 0.412
O 13.173 0.010 0.758
O 10.233 -1.362 4.689
O 15.167 0.085 4.402
O 17.587 0.033 3.208
O 12.835 -1.429 3.043
```